No. 1
# Na2SiBSbO7, relaxed, DFT PBE-GGA
data_Na2SiBSbO7
_symmetry_space_group_name_H-M 'P 1'
_symmetry_Int_Tables_number 1
_cell_length_a 5.442
_cell_length_b 6.640
_cell_length_c 9.385
_cell_angle_alpha 90.00
_cell_angle_beta 93.12
_cell_angle_gamma 90.00
loop_
_symmetry_equiv_pos_as_xyz
'x,y,z'
loop_
_atom_site_label
_atom_site_type_symbol
_atom_site_fract_x
_atom_site_fract_y
_atom_site_fract_z
_atom_site_occupancy
Na1 Na 0.238 0.005 0.304 1
Na2 Na 0.238 0.495 0.304 1
Na3 Na 0.762 0.505 0.696 1
Na4 Na 0.762 0.995 0.696 1
Si1 Si 0.269 0.250 0.936 1
Si2 Si 0.731 0.750 0.064 1
B1 B 0.279 0.750 0.579 1
B2 B 0.721 0.250 0.421 1
Sb1 Sb 0.217 0.750 0.845 1
Sb2 Sb 0.783 0.250 0.155 1
O1 O 0.048 0.750 0.647 1
O2 O 0.123 0.250 0.086 1
O3 O 0.194 0.052 0.839 1
O4 O 0.194 0.448 0.839 1
O5 O 0.318 0.750 0.443 1
O6 O 0.429 0.750 0.023 1
O7 O 0.468 0.750 0.695 1
O8 O 0.532 0.250 0.305 1
O9 O 0.571 0.250 0.977 1
O10 O 0.682 0.250 0.557 1
O11 O 0.806 0.552 0.161 1
O12 O 0.806 0.948 0.161 1
O13 O 0.877 0.750 0.914 1
O14 O 0.952 0.250 0.353 1
# ΔE_f (eV/f.u.): -29.758
# E (MP2020) (eV per cell): -166.5

---

No. 2
# Na3ScB2O6, relaxed, DFT PBE-GGA
data_Na3ScB2O6
_symmetry_space_group_name_H-M 'P 1'
_symmetry_Int_Tables_number 1
_cell_length_a 5.124
_cell_length_b 9.084
_cell_length_c 7.083
_cell_angle_alpha 90.00
_cell_angle_beta 123.59
_cell_angle_gamma 90.00
loop_
_symmetry_equiv_pos_as_xyz
'x,y,z'
loop_
_atom_site_label
_atom_site_type_symbol
_atom_site_fract_x
_atom_site_fract_y
_atom_site_fract_z
_atom_site_occupancy
Na1 Na 0.000 0.000 0.000 1
Na2 Na 0.000 0.500 0.500 1
Na3 Na 0.263 0.168 0.764 1
Na4 Na 0.263 0.332 0.264 1
Na5 Na 0.737 0.668 0.736 1
Na6 Na 0.737 0.832 0.236 1
Sc1 Sc 0.500 0.000 0.500 1
Sc2 Sc 0.500 0.500 0.000 1
B1 B 0.227 0.668 0.239 1
B2 B 0.227 0.832 0.739 1
B3 B 0.773 0.168 0.261 1
B4 B 0.773 0.332 0.761 1
O1 O 0.064 0.106 0.345 1
O2 O 0.064 0.394 0.845 1
O3 O 0.267 0.682 0.791 1
O4 O 0.267 0.818 0.291 1
O5 O 0.476 0.584 0.274 1
O6 O 0.476 0.916 0.774 1
O7 O 0.524 0.084 0.226 1
O8 O 0.524 0.416 0.726 1
O9 O 0.733 0.182 0.709 1
O10 O 0.733 0.318 0.209 1
O11 O 0.936 0.606 0.155 1
O12 O 0.936 0.894 0.655 1
# ΔE_f (eV/f.u.): -33.788
# E (MP2020) (eV per cell): -174.3

---

No. 3
# NaScB2O5, relaxed, DFT PBE-GGA
data_NaScB2O5
_symmetry_space_group_name_H-M 'P 1'
_symmetry_Int_Tables_number 1
_cell_length_a 7.296
_cell_length_b 9.884
_cell_length_c 6.000
_cell_angle_alpha 90.00
_cell_angle_beta 108.55
_cell_angle_gamma 90.00
loop_
_symmetry_equiv_pos_as_xyz
'x,y,z'
loop_
_atom_site_label
_atom_site_type_symbol
_atom_site_fract_x
_atom_site_fract_y
_atom_site_fract_z
_atom_site_occupancy
Na1 Na 0.221 0.081 0.199 1
Na2 Na 0.221 0.419 0.699 1
Na3 Na 0.779 0.581 0.301 1
Na4 Na 0.779 0.919 0.801 1
Sc1 Sc 0.246 0.672 0.283 1
Sc2 Sc 0.246 0.828 0.783 1
Sc3 Sc 0.754 0.172 0.217 1
Sc4 Sc 0.754 0.328 0.717 1
B1 B 0.090 0.120 0.670 1
B2 B 0.090 0.380 0.170 1
B3 B 0.445 0.095 0.746 1
B4 B 0.445 0.405 0.246 1
B5 B 0.555 0.595 0.754 1
B6 B 0.555 0.905 0.254 1
B7 B 0.910 0.620 0.830 1
B8 B 0.910 0.880 0.330 1
O1 O 0.066 0.705 0.925 1
O2 O 0.066 0.795 0.425 1
O3 O 0.079 0.001 0.779 1
O4 O 0.079 0.499 0.279 1
O5 O 0.270 0.169 0.657 1
O6 O 0.270 0.331 0.157 1
O7 O 0.387 0.669 0.659 1
O8 O 0.387 0.831 0.159 1
O9 O 0.447 0.541 0.233 1
O10 O 0.447 0.959 0.733 1
O11 O 0.553 0.041 0.267 1
O12 O 0.553 0.459 0.767 1
O13 O 0.613 0.169 0.841 1
O14 O 0.613 0.331 0.341 1
O15 O 0.730 0.669 0.843 1
O16 O 0.730 0.831 0.343 1
O17 O 0.921 0.501 0.721 1
O18 O 0.921 0.999 0.221 1
O19 O 0.934 0.205 0.575 1
O20 O 0.934 0.295 0.075 1
# ΔE_f (eV/f.u.): -27.870
# E (MP2020) (eV per cell): -294.5

---

No. 4
# Na3Sc2B3O9, relaxed, DFT PBE-GGA
data_Na3Sc2B3O9
_symmetry_space_group_name_H-M 'P 1'
_symmetry_Int_Tables_number 1
_cell_length_a 8.372
_cell_length_b 8.372
_cell_length_c 8.372
_cell_angle_alpha 62.56
_cell_angle_beta 62.56
_cell_angle_gamma 62.56
loop_
_symmetry_equiv_pos_as_xyz
'x,y,z'
loop_
_atom_site_label
_atom_site_type_symbol
_atom_site_fract_x
_atom_site_fract_y
_atom_site_fract_z
_atom_site_occupancy
Na1 Na 0.085 0.750 0.415 1
Na2 Na 0.250 0.585 0.915 1
Na3 Na 0.415 0.085 0.750 1
Na4 Na 0.585 0.915 0.250 1
Na5 Na 0.750 0.415 0.085 1
Na6 Na 0.915 0.250 0.585 1
Sc1 Sc 0.172 0.172 0.172 1
Sc2 Sc 0.328 0.328 0.328 1
Sc3 Sc 0.672 0.672 0.672 1
Sc4 Sc 0.828 0.828 0.828 1
B1 B 0.089 0.411 0.750 1
B2 B 0.250 0.911 0.589 1
B3 B 0.411 0.750 0.089 1
B4 B 0.589 0.250 0.911 1
B5 B 0.750 0.089 0.411 1
B6 B 0.911 0.589 0.250 1
O1 O 0.071 0.429 0.250 1
O2 O 0.093 0.849 0.686 1
O3 O 0.151 0.314 0.907 1
O4 O 0.186 0.349 0.593 1
O5 O 0.250 0.071 0.429 1
O6 O 0.314 0.907 0.151 1
O7 O 0.349 0.593 0.186 1
O8 O 0.407 0.814 0.651 1
O9 O 0.429 0.250 0.071 1
O10 O 0.571 0.750 0.929 1
O11 O 0.593 0.186 0.349 1
O12 O 0.651 0.407 0.814 1
O13 O 0.686 0.093 0.849 1
O14 O 0.750 0.929 0.571 1
O15 O 0.814 0.651 0.407 1
O16 O 0.849 0.686 0.093 1
O17 O 0.907 0.151 0.314 1
O18 O 0.929 0.571 0.750 1
# ΔE_f (eV/f.u.): -51.330
# E (MP2020) (eV per cell): -265.1

---

No. 5
# NaB3SeO7, relaxed, DFT PBE-GGA
data_NaB3SeO7
_symmetry_space_group_name_H-M 'P 1'
_symmetry_Int_Tables_number 1
_cell_length_a 4.589
_cell_length_b 16.079
_cell_length_c 8.760
_cell_angle_alpha 90.00
_cell_angle_beta 98.75
_cell_angle_gamma 90.00
loop_
_symmetry_equiv_pos_as_xyz
'x,y,z'
loop_
_atom_site_label
_atom_site_type_symbol
_atom_site_fract_x
_atom_site_fract_y
_atom_site_fract_z
_atom_site_occupancy
Na1 Na 0.176 0.108 0.458 1
Na2 Na 0.176 0.392 0.958 1
Na3 Na 0.824 0.608 0.042 1
Na4 Na 0.824 0.892 0.542 1
B1 B 0.013 0.238 0.731 1
B2 B 0.013 0.262 0.231 1
B3 B 0.016 0.182 0.985 1
B4 B 0.016 0.318 0.485 1
B5 B 0.171 0.595 0.743 1
B6 B 0.171 0.905 0.243 1
B7 B 0.829 0.095 0.757 1
B8 B 0.829 0.405 0.257 1
B9 B 0.984 0.682 0.515 1
B10 B 0.984 0.818 0.015 1
B11 B 0.987 0.738 0.769 1
B12 B 0.987 0.762 0.269 1
Se1 Se 0.343 0.512 0.284 1
Se2 Se 0.343 0.988 0.784 1
Se3 Se 0.657 0.012 0.216 1
Se4 Se 0.657 0.488 0.716 1
O1 O 0.025 0.518 0.793 1
O2 O 0.025 0.982 0.293 1
O3 O 0.059 0.193 0.144 1
O4 O 0.059 0.307 0.644 1
O5 O 0.085 0.247 0.891 1
O6 O 0.085 0.253 0.391 1
O7 O 0.087 0.608 0.575 1
O8 O 0.087 0.892 0.075 1
O9 O 0.102 0.666 0.834 1
O10 O 0.102 0.834 0.334 1
O11 O 0.381 0.585 0.156 1
O12 O 0.381 0.915 0.656 1
O13 O 0.494 0.580 0.786 1
O14 O 0.494 0.920 0.286 1
O15 O 0.506 0.080 0.714 1
O16 O 0.506 0.420 0.214 1
O17 O 0.619 0.085 0.344 1
O18 O 0.619 0.415 0.844 1
O19 O 0.898 0.166 0.666 1
O20 O 0.898 0.334 0.166 1
O21 O 0.913 0.108 0.925 1
O22 O 0.913 0.392 0.425 1
O23 O 0.915 0.747 0.609 1
O24 O 0.915 0.753 0.109 1
O25 O 0.941 0.693 0.356 1
O26 O 0.941 0.807 0.856 1
O27 O 0.975 0.018 0.707 1
O28 O 0.975 0.482 0.207 1
# ΔE_f (eV/f.u.): -28.829
# E (MP2020) (eV per cell): -353.3

---

No. 6
# Na3SiSnBO7, relaxed, DFT PBE-GGA
data_Na3SiSnBO7
_symmetry_space_group_name_H-M 'P 1'
_symmetry_Int_Tables_number 1
_cell_length_a 5.374
_cell_length_b 6.762
_cell_length_c 9.117
_cell_angle_alpha 90.00
_cell_angle_beta 91.94
_cell_angle_gamma 90.00
loop_
_symmetry_equiv_pos_as_xyz
'x,y,z'
loop_
_atom_site_label
_atom_site_type_symbol
_atom_site_fract_x
_atom_site_fract_y
_atom_site_fract_z
_atom_site_occupancy
Na1 Na 0.239 0.250 0.081 1
Na2 Na 0.255 0.506 0.752 1
Na3 Na 0.255 0.994 0.752 1
Na4 Na 0.745 0.006 0.248 1
Na5 Na 0.745 0.494 0.248 1
Na6 Na 0.761 0.750 0.919 1
Si1 Si 0.281 0.250 0.426 1
Si2 Si 0.719 0.750 0.574 1
Sn1 Sn 0.217 0.750 0.340 1
Sn2 Sn 0.783 0.250 0.660 1
B1 B 0.275 0.750 0.062 1
B2 B 0.725 0.250 0.938 1
O1 O 0.039 0.750 0.125 1
O2 O 0.138 0.250 0.581 1
O3 O 0.206 0.059 0.321 1
O4 O 0.206 0.441 0.321 1
O5 O 0.316 0.750 0.917 1
O6 O 0.414 0.750 0.538 1
O7 O 0.472 0.750 0.171 1
O8 O 0.528 0.250 0.829 1
O9 O 0.586 0.250 0.462 1
O10 O 0.684 0.250 0.083 1
O11 O 0.794 0.559 0.679 1
O12 O 0.794 0.941 0.679 1
O13 O 0.862 0.750 0.419 1
O14 O 0.961 0.250 0.875 1
# ΔE_f (eV/f.u.): -33.046
# E (MP2020) (eV per cell): -175.5

---

No. 7
# Na2Sm2B2O7, relaxed, DFT PBE-GGA
data_Na2Sm2B2O7
_symmetry_space_group_name_H-M 'P 1'
_symmetry_Int_Tables_number 1
_cell_length_a 10.832
_cell_length_b 6.415
_cell_length_c 10.464
_cell_angle_alpha 90.00
_cell_angle_beta 117.79
_cell_angle_gamma 90.00
loop_
_symmetry_equiv_pos_as_xyz
'x,y,z'
loop_
_atom_site_label
_atom_site_type_symbol
_atom_site_fract_x
_atom_site_fract_y
_atom_site_fract_z
_atom_site_occupancy
Na1 Na 0.023 0.057 0.262 1
Na2 Na 0.023 0.443 0.762 1
Na3 Na 0.109 0.738 0.047 1
Na4 Na 0.109 0.762 0.547 1
Na5 Na 0.891 0.238 0.453 1
Na6 Na 0.891 0.262 0.953 1
Na7 Na 0.977 0.557 0.238 1
Na8 Na 0.977 0.943 0.738 1
Sm1 Sm 0.315 0.082 0.911 1
Sm2 Sm 0.315 0.418 0.411 1
Sm3 Sm 0.482 0.540 0.181 1
Sm4 Sm 0.482 0.960 0.681 1
Sm5 Sm 0.518 0.040 0.319 1
Sm6 Sm 0.518 0.460 0.819 1
Sm7 Sm 0.685 0.582 0.589 1
Sm8 Sm 0.685 0.918 0.089 1
B1 B 0.182 0.249 0.580 1
B2 B 0.182 0.251 0.080 1
B3 B 0.290 0.653 0.850 1
B4 B 0.290 0.847 0.350 1
B5 B 0.710 0.153 0.650 1
B6 B 0.710 0.347 0.150 1
B7 B 0.818 0.749 0.920 1
B8 B 0.818 0.751 0.420 1
O1 O 0.102 0.163 0.945 1
O2 O 0.102 0.337 0.445 1
O3 O 0.127 0.149 0.659 1
O4 O 0.127 0.351 0.159 1
O5 O 0.183 0.743 0.864 1
O6 O 0.183 0.757 0.364 1
O7 O 0.329 0.238 0.135 1
O8 O 0.329 0.262 0.635 1
O9 O 0.348 0.743 0.272 1
O10 O 0.348 0.757 0.772 1
O11 O 0.349 0.039 0.412 1
O12 O 0.349 0.461 0.912 1
O13 O 0.473 0.624 0.596 1
O14 O 0.473 0.876 0.096 1
O15 O 0.527 0.124 0.904 1
O16 O 0.527 0.376 0.404 1
O17 O 0.651 0.539 0.088 1
O18 O 0.651 0.961 0.588 1
O19 O 0.652 0.243 0.228 1
O20 O 0.652 0.257 0.728 1
O21 O 0.671 0.738 0.365 1
O22 O 0.671 0.762 0.865 1
O23 O 0.817 0.243 0.636 1
O24 O 0.817 0.257 0.136 1
O25 O 0.873 0.649 0.841 1
O26 O 0.873 0.851 0.341 1
O27 O 0.898 0.663 0.555 1
O28 O 0.898 0.837 0.055 1
# ΔE_f (eV/f.u.): -40.767
# E (MP2020) (eV per cell): -403.4

---

No. 8
# Na2Tm2B2TeO10, relaxed, DFT PBE-GGA
data_Na2Tm2B2TeO10
_symmetry_space_group_name_H-M 'P 1'
_symmetry_Int_Tables_number 1
_cell_length_a 6.326
_cell_length_b 9.935
_cell_length_c 6.730
_cell_angle_alpha 90.00
_cell_angle_beta 103.76
_cell_angle_gamma 90.00
loop_
_symmetry_equiv_pos_as_xyz
'x,y,z'
loop_
_atom_site_label
_atom_site_type_symbol
_atom_site_fract_x
_atom_site_fract_y
_atom_site_fract_z
_atom_site_occupancy
Na1 Na 0.083 0.111 0.167 1
Na2 Na 0.083 0.389 0.667 1
Na3 Na 0.917 0.611 0.333 1
Na4 Na 0.917 0.889 0.833 1
Tm1 Tm 0.373 0.665 0.976 1
Tm2 Tm 0.373 0.835 0.476 1
Tm3 Tm 0.627 0.165 0.524 1
Tm4 Tm 0.627 0.335 0.024 1
B1 B 0.163 0.100 0.627 1
B2 B 0.163 0.400 0.127 1
B3 B 0.837 0.600 0.873 1
B4 B 0.837 0.900 0.373 1
Te1 Te 0.500 0.000 0.000 1
Te2 Te 0.500 0.500 0.500 1
O1 O 0.022 0.671 0.947 1
O2 O 0.022 0.829 0.447 1
O3 O 0.208 0.063 0.837 1
O4 O 0.208 0.437 0.337 1
O5 O 0.304 0.062 0.509 1
O6 O 0.304 0.438 0.009 1
O7 O 0.337 0.618 0.637 1
O8 O 0.337 0.882 0.137 1
O9 O 0.499 0.152 0.180 1
O10 O 0.499 0.348 0.680 1
O11 O 0.501 0.652 0.320 1
O12 O 0.501 0.848 0.820 1
O13 O 0.663 0.118 0.863 1
O14 O 0.663 0.382 0.363 1
O15 O 0.696 0.562 0.991 1
O16 O 0.696 0.938 0.491 1
O17 O 0.792 0.563 0.663 1
O18 O 0.792 0.937 0.163 1
O19 O 0.978 0.171 0.553 1
O20 O 0.978 0.329 0.053 1
# ΔE_f (eV/f.u.): -48.804
# E (MP2020) (eV per cell): -252.8

---

No. 9
# Na2Y2B2TeO10, relaxed, DFT PBE-GGA
data_Na2Y2B2TeO10
_symmetry_space_group_name_H-M 'P 1'
_symmetry_Int_Tables_number 1
_cell_length_a 6.388
_cell_length_b 10.075
_cell_length_c 6.815
_cell_angle_alpha 90.00
_cell_angle_beta 104.23
_cell_angle_gamma 90.00
loop_
_symmetry_equiv_pos_as_xyz
'x,y,z'
loop_
_atom_site_label
_atom_site_type_symbol
_atom_site_fract_x
_atom_site_fract_y
_atom_site_fract_z
_atom_site_occupancy
Na1 Na 0.084 0.111 0.166 1
Na2 Na 0.084 0.389 0.666 1
Na3 Na 0.916 0.611 0.334 1
Na4 Na 0.916 0.889 0.834 1
Y1 Y 0.373 0.666 0.976 1
Y2 Y 0.373 0.834 0.476 1
Y3 Y 0.627 0.166 0.524 1
Y4 Y 0.627 0.334 0.024 1
B1 B 0.164 0.100 0.628 1
B2 B 0.164 0.400 0.128 1
B3 B 0.836 0.600 0.872 1
B4 B 0.836 0.900 0.372 1
Te1 Te 0.500 0.000 0.000 1
Te2 Te 0.500 0.500 0.500 1
O1 O 0.018 0.673 0.943 1
O2 O 0.018 0.827 0.443 1
O3 O 0.210 0.062 0.836 1
O4 O 0.210 0.438 0.336 1
O5 O 0.300 0.062 0.509 1
O6 O 0.300 0.438 0.009 1
O7 O 0.337 0.615 0.635 1
O8 O 0.337 0.885 0.135 1
O9 O 0.495 0.150 0.177 1
O10 O 0.495 0.350 0.677 1
O11 O 0.505 0.650 0.323 1
O12 O 0.505 0.850 0.823 1
O13 O 0.663 0.115 0.865 1
O14 O 0.663 0.385 0.365 1
O15 O 0.700 0.562 0.991 1
O16 O 0.700 0.938 0.491 1
O17 O 0.790 0.562 0.664 1
O18 O 0.790 0.938 0.164 1
O19 O 0.982 0.173 0.557 1
O20 O 0.982 0.327 0.057 1
# ΔE_f (eV/f.u.): -48.303
# E (MP2020) (eV per cell): -259.7

---

No. 10
# NaUB6O15, relaxed, DFT PBE-GGA
data_NaUB6O15
_symmetry_space_group_name_H-M 'P 1'
_symmetry_Int_Tables_number 1
_cell_length_a 6.490
_cell_length_b 6.490
_cell_length_c 16.225
_cell_angle_alpha 91.45
_cell_angle_beta 91.45
_cell_angle_gamma 120.10
loop_
_symmetry_equiv_pos_as_xyz
'x,y,z'
loop_
_atom_site_label
_atom_site_type_symbol
_atom_site_fract_x
_atom_site_fract_y
_atom_site_fract_z
_atom_site_occupancy
Na1 Na 0.190 0.810 0.500 1
Na2 Na 0.810 0.190 0.000 1
U1 U 0.024 0.460 0.709 1
U2 U 0.460 0.024 0.209 1
B1 B 0.135 0.354 0.205 1
B2 B 0.354 0.135 0.705 1
B3 B 0.549 0.572 0.747 1
B4 B 0.572 0.549 0.247 1
B5 B 0.598 0.946 0.683 1
B6 B 0.673 0.840 0.544 1
B7 B 0.691 0.768 0.391 1
B8 B 0.768 0.691 0.891 1
B9 B 0.840 0.673 0.044 1
B10 B 0.861 0.914 0.164 1
B11 B 0.914 0.861 0.664 1
B12 B 0.946 0.598 0.183 1
O1 O 0.016 0.465 0.820 1
O2 O 0.026 0.454 0.598 1
O3 O 0.035 0.855 0.199 1
O4 O 0.151 0.574 0.209 1
O5 O 0.158 0.915 0.685 1
O6 O 0.242 0.445 0.997 1
O7 O 0.335 0.338 0.218 1
O8 O 0.338 0.335 0.718 1
O9 O 0.445 0.242 0.497 1
O10 O 0.454 0.026 0.098 1
O11 O 0.455 0.734 0.730 1
O12 O 0.455 0.941 0.912 1
O13 O 0.465 0.016 0.320 1
O14 O 0.533 0.887 0.594 1
O15 O 0.557 0.589 0.334 1
O16 O 0.574 0.151 0.709 1
O17 O 0.588 0.784 0.463 1
O18 O 0.589 0.557 0.834 1
O19 O 0.627 0.762 0.201 1
O20 O 0.734 0.455 0.230 1
O21 O 0.762 0.627 0.701 1
O22 O 0.784 0.588 0.963 1
O23 O 0.840 0.874 0.073 1
O24 O 0.855 0.035 0.699 1
O25 O 0.874 0.840 0.573 1
O26 O 0.887 0.533 0.094 1
O27 O 0.915 0.158 0.185 1
O28 O 0.925 0.929 0.381 1
O29 O 0.929 0.925 0.881 1
O30 O 0.941 0.455 0.412 1
# ΔE_f (eV/f.u.): -55.429
# E (MP2020) (eV per cell): -364.7